[1]
The following is a DFT calculation (GGA+U) of LiFe3P3O11 after structural relaxation.

## Properties
ΔE to the lowest computed polymorph: 0.0000 eV per atom
Formation energy from the elements: -2372.2 meV/atom
M_tot: 48.000 μB per cell

Cell lengths 10.0201, 9.7864, 10.3888 Å; angles 90.00, 120.59, 90.00 degrees
With the nearest neighbours (Å) after each atom.
Space group P2_1/c (No. 14)
Asymmetric unit:
Li 0.1995 0.1710 0.1941 x4  3 O 1.92-2.02
Fe 0.2220 0.6316 0.8608 x4  5 O 2.06-2.27
Fe 0.3991 0.1234 0.8856 x4  4 O 2.04-2.19
Fe 0.4166 0.6280 0.2300 x4  5 O 2.06-2.30
P 0.0888 0.5661 0.2363 x4  4 O 1.50-1.67
P 0.2598 0.5779 0.5624 x4  4 O 1.52-1.59
P 0.3942 0.1616 0.5603 x4  4 O 1.54-1.59
O 0.0487 0.5218 0.8637 x4  1 P 1.50
O 0.0717 0.7193 0.2159 x4  1 P 1.51
O 0.1175 0.5304 0.4059 x4  2 P 1.59-1.67
O 0.2306 0.5210 0.6817 x4  1 P 1.52
O 0.2425 0.5178 0.2471 x4  1 P 1.56
O 0.2737 0.7336 0.5584 x4  1 P 1.53
O 0.2765 0.2143 0.4027 x4  1 P 1.54
O 0.3701 0.2271 0.6857 x4  1 P 1.58
O 0.3960 0.0042 0.5663 x4  1 P 1.54
O 0.4086 0.5069 0.5761 x4  1 P 1.58
O 0.4445 0.7267 0.9033 x4  1 P 1.59



[2]
The following is a DFT calculation (GGA+U) of LiFePO4 after structural relaxation.

## Properties
ΔE to the lowest computed polymorph: 0.0569 eV per atom
Formation energy from the elements: -2423.3 meV/atom
M_tot: 0.000 μB per cell

Cell lengths 5.6600, 6.2975, 9.2160 Å; angles 76.53, 82.53, 76.23 degrees
With the nearest neighbours (Å) after each atom.
Space group P1 (No. 1)
Asymmetric unit:
Li 0.0000 0.0000 0.0000 x1  4 O 1.94-2.11
Li 0.2224 0.9306 0.4974 x1  4 O 1.95-2.10
Li 0.4553 0.1029 0.8598 x1  4 O 2.05-2.20
Li 0.7659 0.8373 0.6385 x1  4 O 2.06-2.19
Fe 0.3383 0.2976 0.1628 x1  5 O 2.09-2.26
Fe 0.4385 0.3918 0.5476 x1  4 O 2.00-2.18
Fe 0.7729 0.5401 0.9468 x1  4 O 2.00-2.22
Fe 0.8763 0.6412 0.3344 x1  6 O 2.10-2.35
P 0.3004 0.6480 0.8231 x1  4 O 1.55-1.57
P 0.4133 0.7763 0.1952 x1  4 O 1.54-1.56
P 0.8061 0.1593 0.3012 x1  4 O 1.54-1.57
P 0.9215 0.2897 0.6734 x1  4 O 1.55-1.57
O 0.0441 0.7549 0.8855 x1  1 P 1.55
O 0.1750 0.1769 0.6099 x1  1 P 1.55
O 0.2256 0.6311 0.1962 x1  1 P 1.56
O 0.2820 0.6334 0.6588 x1  1 P 1.56
O 0.3163 0.0091 0.0943 x1  1 P 1.56
O 0.3992 0.4115 0.9219 x1  1 P 1.57
O 0.4540 0.7859 0.3559 x1  1 P 1.54
O 0.4971 0.7874 0.8221 x1  1 P 1.57
O 0.5443 0.2642 0.3639 x1  1 P 1.57
O 0.6727 0.6701 0.1307 x1  1 P 1.56
O 0.7198 0.1557 0.6742 x1  1 P 1.57
O 0.7693 0.1455 0.1412 x1  1 P 1.54
O 0.8311 0.5286 0.5772 x1  1 P 1.56
O 0.9038 0.9282 0.4040 x1  1 P 1.56
O 0.9463 0.2987 0.8384 x1  1 P 1.56
O 0.9902 0.3079 0.3008 x1  1 P 1.56



[3]
The following is a DFT calculation (GGA+U) of Li3Fe4P6O24 after structural relaxation.

## Properties
ΔE to the lowest computed polymorph: 0.0052 eV per atom
Formation energy from the elements: -2300.5 meV/atom
M_tot: 35.630 μB per cell

Cell lengths 8.3455, 8.6255, 12.0657 Å; angles 90.39, 90.48, 90.04 degrees
With the nearest neighbours (Å) after each atom.
Space group P1 (No. 1)
Asymmetric unit:
Li 0.0000 0.0000 0.0000 x1  4 O 1.97-2.03
Li 0.0007 0.5893 0.3530 x1  4 O 1.91-2.05
Li 0.1087 0.2893 0.8400 x1  4 O 1.97-2.04
Li 0.4953 0.9091 0.8564 x1  4 O 1.94-1.99
Li 0.6079 0.2171 0.3415 x1  4 O 1.96-2.03
Li 0.7284 0.7165 0.4792 x1  4 O 1.91-2.01
Fe 0.1677 0.9638 0.7681 x1  5 O 1.87-2.06
Fe 0.1698 0.0313 0.2728 x1  6 O 1.88-2.09
Fe 0.1746 0.4718 0.0488 x1  6 O 1.88-2.02
Fe 0.1773 0.5289 0.5552 x1  5 O 1.87-1.97
Fe 0.6602 0.5364 0.2667 x1  5 O 1.88-2.04
Fe 0.6658 0.9770 0.0563 x1  5 O 1.90-2.11
Fe 0.6701 0.4721 0.7702 x1  6 O 1.88-1.99
Fe 0.6743 0.0382 0.5473 x1  6 O 1.92-2.06
P 0.0331 0.6129 0.8067 x1  4 O 1.54-1.57
P 0.0350 0.8832 0.5087 x1  4 O 1.52-1.59
P 0.3069 0.1140 0.0154 x1  4 O 1.54-1.57
P 0.3069 0.3830 0.3052 x1  4 O 1.53-1.58
P 0.3855 0.2545 0.6667 x1  4 O 1.53-1.58
P 0.4619 0.7453 0.6506 x1  4 O 1.53-1.57
P 0.5293 0.6175 0.0058 x1  4 O 1.54-1.57
P 0.5332 0.8934 0.3057 x1  4 O 1.54-1.55
P 0.8047 0.1201 0.8075 x1  4 O 1.53-1.59
P 0.8126 0.3936 0.5179 x1  4 O 1.53-1.58
P 0.8909 0.2509 0.1661 x1  4 O 1.54-1.56
P 0.9630 0.7501 0.1515 x1  4 O 1.53-1.56
O 0.0309 0.8616 0.2433 x1  1 P 1.56
O 0.0470 0.7000 0.4951 x1  1 P 1.59
O 0.0590 0.4949 0.9022 x1  1 P 1.56
O 0.0700 0.9230 0.6309 x1  1 P 1.54
O 0.0797 0.7787 0.8411 x1  1 P 1.54
O 0.1080 0.6704 0.0937 x1  1 P 1.56
O 0.1429 0.5558 0.7122 x1  1 P 1.55
O 0.1475 0.9737 0.4342 x1  1 P 1.52
O 0.1860 0.0523 0.1006 x1  1 P 1.54
O 0.1912 0.4729 0.3788 x1  1 P 1.53
O 0.2408 0.1836 0.7266 x1  1 P 1.54
O 0.2483 0.2787 0.9772 x1  1 P 1.57
O 0.2836 0.4291 0.1818 x1  1 P 1.55
O 0.2950 0.0078 0.9114 x1  1 P 1.55
O 0.2982 0.2008 0.3155 x1  1 P 1.58
O 0.3246 0.3674 0.5754 x1  1 P 1.56
O 0.3527 0.5733 0.9784 x1  1 P 1.55
O 0.3550 0.6692 0.5599 x1  1 P 1.55
O 0.3561 0.8937 0.2649 x1  1 P 1.55
O 0.3732 0.8672 0.7215 x1  1 P 1.54
O 0.4805 0.1177 0.0585 x1  1 P 1.54
O 0.4813 0.1321 0.6032 x1  1 P 1.53
O 0.4847 0.4154 0.3368 x1  1 P 1.55
O 0.4876 0.3352 0.7613 x1  1 P 1.58
O 0.5261 0.6349 0.7442 x1  1 P 1.57
O 0.5451 0.7959 0.9908 x1  1 P 1.56
O 0.5583 0.0117 0.4005 x1  1 P 1.54
O 0.5674 0.5797 0.1278 x1  1 P 1.54
O 0.5869 0.7301 0.3444 x1  1 P 1.55
O 0.6029 0.8178 0.5899 x1  1 P 1.53
O 0.6461 0.9431 0.2108 x1  1 P 1.55
O 0.6472 0.5245 0.9301 x1  1 P 1.57
O 0.6887 0.0318 0.8817 x1  1 P 1.53
O 0.6984 0.4510 0.6133 x1  1 P 1.58
O 0.7449 0.3225 0.2254 x1  1 P 1.54
O 0.7540 0.2348 0.4763 x1  1 P 1.53
O 0.7839 0.0739 0.6856 x1  1 P 1.53
O 0.7921 0.5124 0.4216 x1  1 P 1.56
O 0.7960 0.3041 0.8168 x1  1 P 1.59
O 0.8343 0.1361 0.0751 x1  1 P 1.54
O 0.8534 0.6099 0.7677 x1  1 P 1.57
O 0.8558 0.9135 0.4812 x1  1 P 1.55
O 0.8683 0.8313 0.0592 x1  1 P 1.53
O 0.8689 0.6322 0.2215 x1  1 P 1.54
O 0.9815 0.0882 0.8461 x1  1 P 1.57
O 0.9861 0.3761 0.1018 x1  1 P 1.56
O 0.9903 0.1719 0.2605 x1  1 P 1.56
O 0.9902 0.3896 0.5542 x1  1 P 1.54



[4]
The following is a DFT calculation (GGA+U) of LiFePO4 after structural relaxation.

## Properties
ΔE to the lowest computed polymorph: 0.0842 eV per atom
Formation energy from the elements: -2396.0 meV/atom
M_tot: 32.000 μB per cell

Cell lengths 8.0783, 16.9999, 4.8785 Å; angles 90.00, 90.00, 90.00 degrees
With the nearest neighbours (Å) after each atom.
Space group Pna2_1 (No. 33)
Asymmetric unit:
Li 0.0339 0.0571 0.0000 x4  4 O 1.89-2.05
Li 0.1292 0.6347 0.5293 x4  3 O 1.96-2.10
Fe 0.0687 0.2173 0.6589 x4  3 O 1.99-2.04
Fe 0.1542 0.4439 0.5404 x4  5 O 2.13-2.30
P 0.2464 0.3207 0.0023 x4  4 O 1.54-1.58
P 0.2479 0.5611 0.9877 x4  4 O 1.54-1.57
O 0.0791 0.5415 0.8439 x4  1 P 1.57
O 0.0881 0.8503 0.3747 x4  1 P 1.56
O 0.0929 0.3519 0.8324 x4  1 P 1.58
O 0.1225 0.0109 0.3357 x4  1 P 1.54
O 0.2175 0.1495 0.4342 x4  1 P 1.55
O 0.2323 0.3451 0.3050 x4  1 P 1.54
O 0.2439 0.2305 0.9576 x4  1 P 1.55
O 0.2443 0.5448 0.3023 x4  1 P 1.56



[5]
The following is a DFT calculation (GGA+U) of LiFeP2O7 after structural relaxation.

## Properties
ΔE to the lowest computed polymorph: 0.0967 eV per atom
Formation energy from the elements: -2429.4 meV/atom
M_tot: 20.002 μB per cell

Cell lengths 7.2690, 8.1209, 9.6163 Å; angles 90.00, 106.06, 90.00 degrees
With the nearest neighbours (Å) after each atom.
Space group P2_1/c (No. 14)
Asymmetric unit:
Li 0.1936 0.0191 0.2093 x4  3 O 1.92-2.13
Fe 0.1960 0.5637 0.2393 x4  4 O 1.89-1.93
P 0.1759 0.2389 0.9522 x4  4 O 1.49-1.59
P 0.3912 0.7435 0.5385 x4  4 O 1.50-1.61
O 0.0618 0.1146 0.3644 x4  1 P 1.56
O 0.1031 0.0785 0.8654 x4  1 P 1.56
O 0.1733 0.2357 0.1069 x4  1 P 1.49
O 0.3034 0.7389 0.3721 x4  1 P 1.55
O 0.3305 0.5943 0.0986 x4  1 P 1.55
O 0.3608 0.5898 0.6159 x4  1 P 1.50
O 0.3831 0.2262 0.4325 x4  2 P 1.59-1.61



[6]
The following is a DFT calculation (GGA+U) of Li9Fe7P12O48 after structural relaxation.

## Properties
Formation energy from the elements: -2369.2 meV/atom
M_tot: 39.617 μB per cell

Cell lengths 8.6816, 8.8175, 12.2504 Å; angles 90.12, 90.10, 90.01 degrees
With the nearest neighbours (Å) after each atom.
Space group P1 (No. 1)
Asymmetric unit:
Li 0.0000 0.0000 0.0000 x1  4 O 1.95-2.00
Li 0.0006 0.0565 0.3634 x1  4 O 1.95-2.00
Li 0.4329 0.4996 0.0011 x1  4 O 1.95-2.01
Li 0.4344 0.5570 0.3682 x1  4 O 1.92-2.03
Li 0.4689 0.7398 0.5654 x1  6 O 2.01-2.13
Li 0.4985 0.0464 0.5002 x1  4 O 1.94-2.02
Li 0.5006 0.9992 0.8626 x1  4 O 1.97-2.01
Li 0.9328 0.5566 0.5004 x1  4 O 1.97-2.02
Li 0.9340 0.4991 0.8643 x1  4 O 1.95-2.01
Fe 0.4667 0.3180 0.7951 x1  6 O 1.96-2.09
Fe 0.4682 0.2366 0.2959 x1  6 O 1.96-2.08
Fe 0.4682 0.8184 0.0681 x1  6 O 1.93-2.08
Fe 0.9662 0.3186 0.0689 x1  6 O 1.96-2.10
Fe 0.9662 0.7365 0.2939 x1  6 O 1.95-2.10
Fe 0.9677 0.2396 0.5683 x1  6 O 1.95-2.06
Fe 0.9693 0.8190 0.7952 x1  6 O 1.95-2.09
P 0.1119 0.3854 0.3295 x1  4 O 1.53-1.57
P 0.1115 0.6709 0.0347 x1  4 O 1.53-1.56
P 0.1766 0.5255 0.6837 x1  4 O 1.53-1.57
P 0.2538 0.0303 0.6834 x1  4 O 1.53-1.55
P 0.3222 0.8861 0.3255 x1  4 O 1.53-1.55
P 0.3235 0.1707 0.0349 x1  4 O 1.53-1.55
P 0.6111 0.6701 0.8312 x1  4 O 1.54-1.55
P 0.6121 0.3782 0.5337 x1  4 O 1.53-1.57
P 0.6775 0.5275 0.1825 x1  4 O 1.53-1.56
P 0.7568 0.0277 0.1814 x1  4 O 1.53-1.56
P 0.8232 0.1707 0.8281 x1  4 O 1.55
P 0.8248 0.8883 0.5354 x1  4 O 1.53-1.57
O 0.0428 0.2638 0.4095 x1  1 P 1.57
O 0.0428 0.7913 0.9558 x1  1 P 1.56
O 0.0548 0.5103 0.0020 x1  1 P 1.55
O 0.0546 0.5456 0.3621 x1  1 P 1.55
O 0.0608 0.3431 0.2135 x1  1 P 1.53
O 0.0609 0.7122 0.1509 x1  1 P 1.53
O 0.0691 0.6147 0.7615 x1  1 P 1.55
O 0.0696 0.4384 0.6012 x1  1 P 1.57
O 0.1437 0.8828 0.3356 x1  1 P 1.55
O 0.1450 0.1733 0.0262 x1  1 P 1.55
O 0.1582 0.9239 0.7546 x1  1 P 1.53
O 0.1585 0.1375 0.6103 x1  1 P 1.54
O 0.2727 0.4189 0.7547 x1  1 P 1.53
O 0.2753 0.6308 0.6129 x1  1 P 1.53
O 0.2900 0.3824 0.3382 x1  1 P 1.55
O 0.2897 0.6731 0.0254 x1  1 P 1.55
O 0.3599 0.9452 0.6032 x1  1 P 1.54
O 0.3620 0.1169 0.7631 x1  1 P 1.55
O 0.3708 0.8483 0.2083 x1  1 P 1.53
O 0.3746 0.2127 0.1509 x1  1 P 1.53
O 0.3771 0.0461 0.3593 x1  1 P 1.54
O 0.3799 0.0106 0.0013 x1  1 P 1.55
O 0.3900 0.7649 0.4016 x1  1 P 1.54
O 0.3914 0.2911 0.9560 x1  1 P 1.55
O 0.5421 0.7902 0.9099 x1  1 P 1.55
O 0.5447 0.2554 0.4560 x1  1 P 1.55
O 0.5556 0.5095 0.8626 x1  1 P 1.55
O 0.5583 0.5375 0.5020 x1  1 P 1.53
O 0.5604 0.3408 0.6506 x1  1 P 1.54
O 0.5601 0.7136 0.7150 x1  1 P 1.54
O 0.5694 0.6148 0.1031 x1  1 P 1.56
O 0.5697 0.4406 0.2618 x1  1 P 1.55
O 0.6449 0.1733 0.8365 x1  1 P 1.55
O 0.6496 0.8887 0.5251 x1  1 P 1.53
O 0.6607 0.1349 0.2523 x1  1 P 1.53
O 0.6611 0.9201 0.1103 x1  1 P 1.53
O 0.7734 0.4206 0.1111 x1  1 P 1.53
O 0.7738 0.6348 0.2534 x1  1 P 1.53
O 0.7894 0.6737 0.8386 x1  1 P 1.55
O 0.7923 0.3782 0.5265 x1  1 P 1.57
O 0.8645 0.9405 0.2612 x1  1 P 1.56
O 0.8648 0.1151 0.1025 x1  1 P 1.55
O 0.8739 0.2127 0.7111 x1  1 P 1.55
O 0.8740 0.8451 0.6518 x1  1 P 1.54
O 0.8786 0.0100 0.8611 x1  1 P 1.55
O 0.8876 0.0489 0.5035 x1  1 P 1.57
O 0.8915 0.2907 0.9074 x1  1 P 1.55
O 0.8942 0.7676 0.4564 x1  1 P 1.56